# 1
Material: Ba2GdSbO6
Method: DFT, meta-GGA r2SCAN
State: relaxed

Summary:
* energy of formation: -29.05 eV per formula unit
* size of the total moment: 7.00 μB/cell
* SG: No. 225

Unit cell a=6.017 b=6.017 c=6.017 alpha=60.00 beta=60.00 gamma=60.00
Fractional positions:
Ba1 0.250 0.250 0.250
Ba2 0.750 0.750 0.750
Gd1 0.500 0.500 0.500
Sb1 0.000 0.000 0.000
O1 0.766 0.766 0.234
O2 0.766 0.234 0.766
O3 0.234 0.234 0.766
O4 0.234 0.766 0.234
O5 0.766 0.234 0.234
O6 0.234 0.766 0.766

# 2
Material: MgO
Method: DFT, meta-GGA r2SCAN
State: relaxed

Summary:
* energy of formation: -5.86 eV per formula unit
* size of the total moment: 0.00 μB/cell
* SG: No. 194

Unit cell a=3.486 b=3.486 c=4.178 alpha=90.00 beta=90.00 gamma=120.00
Fractional positions:
Mg1 0.333 0.667 0.250
Mg2 0.667 0.333 0.750
O1 0.333 0.667 0.750
O2 0.667 0.333 0.250

# 3
Material: HfO2
Method: DFT, meta-GGA r2SCAN
State: relaxed

Summary:
* energy of formation: -11.47 eV per formula unit
* size of the total moment: 0.00 μB/cell
* SG: No. 225

Unit cell a=3.558 b=3.558 c=3.558 alpha=60.00 beta=60.00 gamma=60.00
Fractional positions:
Hf1 0.000 0.000 0.000
O1 0.250 0.250 0.250
O2 0.750 0.750 0.750

# 4
Material: TmCoC
Method: DFT, meta-GGA r2SCAN
State: relaxed

Summary:
* energy of formation: -1.21 eV per formula unit
* size of the total moment: 2.14 μB/cell
* SG: No. 131

Unit cell a=3.602 b=3.602 c=6.691 alpha=90.00 beta=90.00 gamma=90.00
Fractional positions:
Tm1 0.000 0.000 0.750
Tm2 0.000 0.000 0.250
Co1 0.500 0.500 0.000
Co2 0.500 0.500 0.500
C1 0.500 0.000 0.500
C2 0.000 0.500 0.000

# 5
Material: Yb2Br2F
Method: DFT, meta-GGA r2SCAN
State: relaxed

Summary:
* energy of formation: -7.65 eV per formula unit
* size of the total moment: 0.37 μB/cell
* SG: No. 123

Unit cell a=3.774 b=3.774 c=13.153 alpha=90.00 beta=90.00 gamma=90.00
Fractional positions:
Yb1 0.500 0.500 0.162
Yb2 0.500 0.500 0.838
Br1 0.500 0.500 0.649
Br2 0.500 0.500 0.351
F1 0.500 0.500 0.000

# 6
Material: Eu2Al5Ag5
Method: DFT, meta-GGA r2SCAN
State: relaxed

Summary:
* energy of formation: -3.91 eV per formula unit
* size of the total moment: 14.13 μB/cell
* SG: No. 47

Unit cell a=4.436 b=5.495 c=9.756 alpha=90.00 beta=90.00 gamma=90.00
Fractional positions:
Eu1 0.000 0.500 0.000
Eu2 0.000 0.000 0.500
Al1 0.500 0.000 0.000
Al2 0.500 0.753 0.254
Al3 0.500 0.247 0.746
Al4 0.500 0.247 0.254
Al5 0.500 0.753 0.746
Ag1 0.000 0.500 0.321
Ag2 0.000 0.000 0.833
Ag3 0.000 0.000 0.167
Ag4 0.000 0.500 0.679
Ag5 0.500 0.500 0.500

Question: What is the energy of formation in the sixth record?
Answer: -3.91 eV per formula unit

Copy entry 3 word for word.
Material: HfO2
Method: DFT, meta-GGA r2SCAN
State: relaxed

Summary:
* energy of formation: -11.47 eV per formula unit
* size of the total moment: 0.00 μB/cell
* SG: No. 225

Unit cell a=3.558 b=3.558 c=3.558 alpha=60.00 beta=60.00 gamma=60.00
Fractional positions:
Hf1 0.000 0.000 0.000
O1 0.250 0.250 0.250
O2 0.750 0.750 0.750

Question: The highest energy of formation belongs to which entry?
Answer: TmCoC